Entry 1:
This record from the Materials Project database describes crystalline RbFe2As2 at its relaxed geometry. The functional is PBE-GGA.

Calculated values
DFT formation energy, meV per atom: -269
SG: I4/mmm

abc: 3.7568 3.7568 14.4878
angles: 90.00 90.00 90.00
Sites, in units of the cell vectors:
Rb 0.0000 0.0000 0.0000
Rb 0.5000 0.5000 0.5000
Fe 0.0000 0.5000 0.2500
Fe 0.0000 0.5000 0.7500
Fe 0.5000 0.0000 0.2500
Fe 0.5000 0.0000 0.7500
As 0.0000 0.0000 0.3466
As 0.0000 0.0000 0.6534
As 0.5000 0.5000 0.1534
As 0.5000 0.5000 0.8466

Entry 2:
This record from the Materials Project database describes crystalline Tm5Ir2 at its relaxed geometry. The functional is PBE-GGA.

Calculated values
DFT formation energy, meV per atom: -716
SG: C2/c

abc: 8.3504 8.3504 7.1655
angles: 96.42 96.42 45.40
Sites, in units of the cell vectors:
Tm 0.0733 0.9267 0.7500
Tm 0.1540 0.2891 0.3187
Tm 0.2883 0.5302 0.0808
Tm 0.2891 0.1540 0.8187
Tm 0.4698 0.7117 0.4192
Tm 0.5302 0.2883 0.5808
Tm 0.7109 0.8460 0.1813
Tm 0.7117 0.4698 0.9192
Tm 0.8460 0.7109 0.6813
Tm 0.9267 0.0733 0.2500
Ir 0.1098 0.6719 0.4269
Ir 0.3281 0.8901 0.0731
Ir 0.6719 0.1098 0.9269
Ir 0.8901 0.3281 0.5731

Entry 3:
This record from the Materials Project database describes crystalline Gd3PbC at its relaxed geometry. The functional is PBE-GGA.

Calculated values
DFT formation energy, meV per atom: 1527
SG: Pm-3m

abc: 5.7887 5.7887 5.7887
angles: 90.00 90.00 90.00
Sites, in units of the cell vectors:
Gd 0.0000 0.0000 0.5000
Gd 0.0000 0.5000 0.0000
Gd 0.5000 0.0000 0.0000
Pb 0.0000 0.0000 0.0000
C 0.5000 0.5000 0.5000

Entry 4:
This record from the Materials Project database describes crystalline Ga2HgO4 at its relaxed geometry. The functional is PBE-GGA.

Calculated values
DFT formation energy, meV per atom: -1739
SG: Pnma
Relative energy among the computed polymorphs, meV/atom: 29

abc: 9.8041 2.9555 12.6160
angles: 90.00 90.00 90.00
Sites, in units of the cell vectors:
Ga 0.1086 0.2500 0.1291
Ga 0.1222 0.2500 0.7137
Ga 0.3778 0.7500 0.2137
Ga 0.3914 0.7500 0.6291
Ga 0.6086 0.2500 0.3709
Ga 0.6222 0.2500 0.7863
Ga 0.8778 0.7500 0.2863
Ga 0.8914 0.7500 0.8709
Hg 0.1544 0.2500 0.4384
Hg 0.3456 0.7500 0.9384
Hg 0.6544 0.2500 0.0616
Hg 0.8456 0.7500 0.5616
O 0.0097 0.2500 0.8341
O 0.0385 0.7500 0.6296
O 0.1854 0.7500 0.0440
O 0.2486 0.2500 0.2396
O 0.2514 0.7500 0.7396
O 0.3146 0.2500 0.5440
O 0.4615 0.2500 0.1296
O 0.4903 0.7500 0.3341
O 0.5097 0.2500 0.6659
O 0.5385 0.7500 0.8704
O 0.6854 0.7500 0.4560
O 0.7486 0.2500 0.2604
O 0.7514 0.7500 0.7604
O 0.8146 0.2500 0.9560
O 0.9615 0.2500 0.3704
O 0.9903 0.7500 0.1659

Entry 5:
This record from the Materials Project database describes crystalline GeS2 at its relaxed geometry. The functional is PBE-GGA.

Calculated values
DFT formation energy, meV per atom: -609
SG: P4_2/nmc

abc: 3.5328 3.5328 11.5097
angles: 90.00 90.00 90.00
Sites, in units of the cell vectors:
Ge 0.2500 0.7500 0.2500
Ge 0.7500 0.2500 0.7500
S 0.2500 0.2500 0.1260
S 0.2500 0.2500 0.6260
S 0.7500 0.7500 0.3740
S 0.7500 0.7500 0.8740

Entry 6:
This record from the Materials Project database describes crystalline KPrMgBiO6 at its relaxed geometry. The functional is PBE-GGA.

Calculated values
DFT formation energy, meV per atom: -2139
SG: F-43m

abc: 5.8230 5.8230 5.8230
angles: 60.00 60.00 60.00
Sites, in units of the cell vectors:
K 0.0000 0.0000 0.0000
Pr 0.5000 0.5000 0.5000
Mg 0.7500 0.7500 0.7500
Bi 0.2500 0.2500 0.2500
O 0.5037 0.5037 0.9963
O 0.5037 0.9963 0.5037
O 0.5037 0.9963 0.9963
O 0.9963 0.5037 0.5037
O 0.9963 0.5037 0.9963
O 0.9963 0.9963 0.5037

Entry 7:
This record from the Materials Project database describes crystalline K2In2P2HO10 at its relaxed geometry. The functional is PBE-GGA.

Calculated values
DFT formation energy, meV per atom: -2280
SG: P2_12_12_1

abc: 9.4477 9.5304 11.3140
angles: 90.00 90.00 90.00
Sites, in units of the cell vectors:
K 0.0154 0.0261 0.4055
K 0.2401 0.1310 0.6649
K 0.2599 0.8690 0.1649
K 0.4846 0.9739 0.9055
K 0.5154 0.4739 0.5945
K 0.7401 0.3690 0.3351
K 0.7599 0.6310 0.8351
K 0.9846 0.5261 0.0945
In 0.1015 0.6550 0.6209
In 0.1457 0.3928 0.3797
In 0.3543 0.6072 0.8797
In 0.3985 0.3450 0.1209
In 0.6015 0.8450 0.3791
In 0.6457 0.1072 0.6203
In 0.8543 0.8928 0.1203
In 0.8985 0.1550 0.8791
P 0.0679 0.8402 0.8766
P 0.0793 0.1875 0.1331
P 0.4207 0.8125 0.6331
P 0.4321 0.1598 0.3766
P 0.5679 0.6598 0.1234
P 0.5793 0.3125 0.8669
P 0.9207 0.6875 0.3669
P 0.9321 0.3402 0.6234
H 0.1674 0.4337 0.7630
H 0.3326 0.5663 0.2630
H 0.6674 0.0663 0.2370
H 0.8326 0.9337 0.7370
O 0.0022 0.7717 0.7634
O 0.0084 0.2539 0.0226
O 0.0283 0.2894 0.5195
O 0.0295 0.0350 0.1558
O 0.0335 0.2793 0.2410
O 0.0707 0.0020 0.8638
O 0.2213 0.7924 0.9031
O 0.2258 0.5141 0.7409
O 0.2405 0.5279 0.5087
O 0.2424 0.1790 0.1201
O 0.2576 0.8210 0.6201
O 0.2595 0.4721 0.0087
O 0.2742 0.4859 0.2409
O 0.2787 0.2076 0.4031
O 0.4293 0.9980 0.3638
O 0.4665 0.7207 0.7410
O 0.4705 0.9650 0.6558
O 0.4717 0.7106 0.0195
O 0.4916 0.7461 0.5226
O 0.4978 0.2283 0.2634
O 0.5022 0.7283 0.2366
O 0.5084 0.2461 0.9774
O 0.5283 0.2106 0.4805
O 0.5295 0.4650 0.8442
O 0.5335 0.2207 0.7590
O 0.5707 0.4980 0.1362
O 0.7213 0.7076 0.0969
O 0.7258 0.9859 0.2591
O 0.7405 0.9721 0.4913
O 0.7424 0.3210 0.8799
O 0.7576 0.6790 0.3799
O 0.7595 0.0279 0.9913
O 0.7742 0.0141 0.7591
O 0.7787 0.2924 0.5969
O 0.9293 0.5020 0.6362
O 0.9665 0.7793 0.2590
O 0.9705 0.5350 0.3442
O 0.9717 0.7894 0.9805
O 0.9916 0.7539 0.4774
O 0.9978 0.2717 0.7366

Entry 8:
This record from the Materials Project database describes crystalline UFeCo at its relaxed geometry. The functional is PBE-GGA.

Calculated values
DFT formation energy, meV per atom: -170
SG: Imma

abc: 4.8462 4.9068 6.9475
angles: 90.00 90.00 90.00
Sites, in units of the cell vectors:
U 0.0000 0.2500 0.1265
U 0.0000 0.7500 0.8735
U 0.5000 0.2500 0.3735
U 0.5000 0.7500 0.6265
Fe 0.0000 0.0000 0.5000
Fe 0.0000 0.5000 0.5000
Fe 0.5000 0.0000 0.0000
Fe 0.5000 0.5000 0.0000
Co 0.2500 0.2500 0.7500
Co 0.2500 0.7500 0.2500
Co 0.7500 0.2500 0.7500
Co 0.7500 0.7500 0.2500

Entry 9:
This record from the Materials Project database describes crystalline ZrBr at its relaxed geometry. The functional is PBE-GGA.

Calculated values
DFT formation energy, meV per atom: -1271
SG: C2/m
Relative energy among the computed polymorphs, meV/atom: 0

abc: 6.1000 3.5490 10.1135
angles: 90.00 105.45 90.00
Sites, in units of the cell vectors:
Zr 0.2204 0.0000 0.1205
Zr 0.2796 0.5000 0.8795
Zr 0.7204 0.5000 0.1205
Zr 0.7796 0.0000 0.8795
Br 0.1415 0.5000 0.3164
Br 0.3585 0.0000 0.6836
Br 0.6415 0.0000 0.3164
Br 0.8585 0.5000 0.6836

Entry 10:
This record from the Materials Project database describes crystalline PbN2F6 at its relaxed geometry. The functional is PBE-GGA.

Calculated values
DFT formation energy, meV per atom: -52
SG: P-3m1

abc: 5.5074 5.5074 5.2228
angles: 90.00 90.00 120.00
Sites, in units of the cell vectors:
Pb 0.0000 0.0000 0.0000
N 0.3333 0.6667 0.3315
N 0.6667 0.3333 0.6685
F 0.1750 0.3499 0.7556
F 0.1750 0.8250 0.7556
F 0.3499 0.1750 0.2444
F 0.6501 0.8250 0.7556
F 0.8250 0.1750 0.2444
F 0.8250 0.6501 0.2444

Entry 11:
This record from the Materials Project database describes crystalline PrBPt2 at its relaxed geometry. The functional is PBE-GGA.

Calculated values
DFT formation energy, meV per atom: -904
SG: P6_222

abc: 5.5220 5.5220 7.9940
angles: 90.00 90.00 120.00
Sites, in units of the cell vectors:
Pr 0.0000 0.5000 0.1667
Pr 0.5000 0.0000 0.5000
Pr 0.5000 0.5000 0.8333
B 0.0000 0.5000 0.6667
B 0.5000 0.0000 0.0000
B 0.5000 0.5000 0.3333
Pt 0.1529 0.3057 0.5000
Pt 0.1529 0.8471 0.8333
Pt 0.3057 0.1529 0.1667
Pt 0.6943 0.8471 0.1667
Pt 0.8471 0.1529 0.8333
Pt 0.8471 0.6943 0.5000

Entry 12:
This record from the Materials Project database describes crystalline K3HS3O11 at its relaxed geometry. The functional is PBE-GGA.

Calculated values
DFT formation energy, meV per atom: -2055
SG: P2_1/c

abc: 13.6979 8.2507 9.9710
angles: 90.00 96.71 90.00
Sites, in units of the cell vectors:
K 0.0597 0.0801 0.2661
K 0.0597 0.4199 0.7661
K 0.3137 0.1157 0.6474
K 0.3137 0.3843 0.1474
K 0.3311 0.6401 0.7898
K 0.3311 0.8599 0.2898
K 0.6689 0.1401 0.7102
K 0.6689 0.3599 0.2102
K 0.6863 0.6157 0.8526
K 0.6863 0.8843 0.3526
K 0.9403 0.5801 0.2339
K 0.9403 0.9199 0.7339
H 0.4976 0.0923 0.0936
H 0.4976 0.4077 0.5936
H 0.5024 0.5923 0.4064
H 0.5024 0.9077 0.9064
S 0.1041 0.7284 0.0091
S 0.1041 0.7716 0.5091
S 0.2086 0.0296 0.9448
S 0.2086 0.4704 0.4448
S 0.4884 0.2485 0.9151
S 0.4884 0.2515 0.4151
S 0.5116 0.7485 0.5849
S 0.5116 0.7515 0.0849
S 0.7914 0.5296 0.5552
S 0.7914 0.9704 0.0552
S 0.8959 0.2284 0.4909
S 0.8959 0.2716 0.9909
O 0.0064 0.6791 0.9494
O 0.0064 0.8209 0.4494
O 0.1107 0.5931 0.4300
O 0.1107 0.9069 0.9300
O 0.1123 0.7323 0.6527
O 0.1123 0.7677 0.1527
O 0.1705 0.1590 0.8544
O 0.1705 0.3410 0.3544
O 0.1838 0.6265 0.9709
O 0.1838 0.8735 0.4709
O 0.2250 0.0739 0.0880
O 0.2250 0.4261 0.5880
O 0.2884 0.5625 0.3975
O 0.2884 0.9375 0.8975
O 0.3951 0.1677 0.3764
O 0.3951 0.3323 0.8764
O 0.4244 0.6533 0.0968
O 0.4244 0.8467 0.5968
O 0.4890 0.2125 0.0734
O 0.4890 0.2875 0.5734
O 0.4931 0.0893 0.8478
O 0.4931 0.4107 0.3478
O 0.5069 0.5893 0.6522
O 0.5069 0.9107 0.1522
O 0.5110 0.7125 0.4266
O 0.5110 0.7875 0.9266
O 0.5756 0.1533 0.4032
O 0.5756 0.3467 0.9032
O 0.6049 0.6677 0.1236
O 0.6049 0.8323 0.6236
O 0.7116 0.0625 0.1025
O 0.7116 0.4375 0.6025
O 0.7750 0.5739 0.4120
O 0.7750 0.9261 0.9120
O 0.8162 0.1265 0.5291
O 0.8162 0.3735 0.0291
O 0.8295 0.6590 0.6456
O 0.8295 0.8410 0.1456
O 0.8877 0.2323 0.8473
O 0.8877 0.2677 0.3473
O 0.8893 0.0931 0.0700
O 0.8893 0.4069 0.5700
O 0.9936 0.1791 0.5506
O 0.9936 0.3209 0.0506

Question: The highest DFT formation energy belongs to which entry?
Answer: Gd3PbC

Question: Which of these has the lowest DFT formation energy?
Answer: K2In2P2HO10